Material: LiMg6AlO8
Method: DFT, PBE-GGA
State: relaxed

DFT formation energy in eV per formula unit: -48.06
Crystal system: tetragonal

Cell: 4.2007 4.2007 8.4851 Å, 90.00 90.00 90.00°
Closest atoms and distances in Å follow each position.
Fractional coordinates of all 16 atoms:
Li (0.0000, 0.0000, 0.0000)  4 O 2.10
Mg (0.0000, 0.5000, 0.2396)  6 O 2.03-2.21
Mg (0.0000, 0.5000, 0.7604)  6 O 2.03-2.21
Mg (0.5000, 0.0000, 0.2396)  6 O 2.03-2.21
Mg (0.5000, 0.0000, 0.7604)  6 O 2.03-2.21
Mg (0.5000, 0.5000, 0.0000)  6 O 2.10-2.14
Mg (0.5000, 0.5000, 0.5000)  6 O 2.10
Al (0.0000, 0.0000, 0.5000)  2 O 1.84
O (0.0000, 0.0000, 0.2828)  1 Al 1.84
O (0.0000, 0.0000, 0.7172)  1 Al 1.84
O (0.0000, 0.5000, 0.0000)  4 Mg 2.03-2.10, 2 Li 2.10
O (0.0000, 0.5000, 0.5000)  4 Mg 2.10-2.21, 2 Al 2.10
O (0.5000, 0.0000, 0.0000)  4 Mg 2.03-2.10, 2 Li 2.10
O (0.5000, 0.0000, 0.5000)  4 Mg 2.10-2.21, 2 Al 2.10
O (0.5000, 0.5000, 0.2526)  6 Mg 2.10-2.14
O (0.5000, 0.5000, 0.7474)  6 Mg 2.10-2.14